Below is Rb6Al2Sb6O21 after structural relaxation, with properties calculated at the PBE-GGA level.

Summary:
* ΔH_f (0 K): -138.1 kJ per mole of atoms
* total energy: -177.73 eV for the cell shown
* energy with MP2020 corrections: -5.490 eV/atom
* total moment: 11.998 μB/f.u.
* symmetry: No. 12

Cell: 16.0078 16.0078 8.4564 Å, 89.88 89.88 20.53°
Positions (direct):
Sb: 0.7763 0.7763 0.8417
Sb: 0.2237 0.2237 0.1583
Sb: 0.4415 0.4415 0.8617
Sb: 0.5585 0.5585 0.1383
Sb: 0.1136 0.1136 0.8714
Sb: 0.8864 0.8864 0.1286
Rb: 0.4489 0.4489 0.3782
Rb: 0.2169 0.2169 0.6032
Rb: 0.7831 0.7831 0.3968
Rb: 0.1051 0.1051 0.3926
Rb: 0.8949 0.8949 0.6074
Rb: 0.5511 0.5511 0.6218
O: 0.0789 0.6543 0.2986
O: 0.4439 0.9422 0.2705
O: 0.0578 0.5561 0.7295
O: 0.9374 0.9374 0.2650
O: 0.5561 0.0578 0.7295
O: 0.9422 0.4439 0.2705
O: 0.0626 0.0626 0.7350
O: 0.3436 0.3436 0.0097
O: 0.3877 0.3877 0.7374
O: 0.7526 0.3069 0.2767
O: 0.6123 0.6123 0.2626
O: 0.3457 0.9211 0.7014
O: 0.0000 0.0000 0.0000
O: 0.7267 0.7267 0.7105
O: 0.2733 0.2733 0.2895
O: 0.6564 0.6564 0.9903
O: 0.3069 0.7526 0.2767
O: 0.6543 0.0789 0.2986
O: 0.6931 0.2474 0.7233
O: 0.9211 0.3457 0.7014
O: 0.2474 0.6931 0.7233
Al: 0.3339 0.3339 0.8012
Al: 0.6661 0.6661 0.1988

Below is RbAlSe2O8 after structural relaxation, with properties calculated at the PBE-GGA level.

Summary:
* ΔH_f (0 K): -169.8 kJ per mole of atoms
* total energy: -66.92 eV for the cell shown
* energy with MP2020 corrections: -6.035 eV/atom
* total moment: 0.001 μB/f.u.
* symmetry: No. 150

Cell: 5.0935 5.0935 8.9144 Å, 90.00 90.00 120.00°
Positions (direct):
Se: 0.6667 0.3333 0.8021
Se: 0.3333 0.6667 0.1979
O: 0.7554 0.6805 0.8608
O: 0.9250 0.2446 0.8608
O: 0.6805 0.7554 0.1392
O: 0.2446 0.9250 0.1392
O: 0.6667 0.3333 0.6175
O: 0.3195 0.0750 0.8608
O: 0.3333 0.6667 0.3825
O: 0.0750 0.3195 0.1392
Rb: 0.0000 0.0000 0.5000
Al: 0.0000 0.0000 0.0000

Below is RbAlSi3O8 after structural relaxation, with properties calculated at the PBE-GGA level.

Summary:
* ΔH_f (0 K): -312.5 kJ per mole of atoms
* total energy: -194.38 eV for the cell shown
* energy with MP2020 corrections: -7.899 eV/atom
* total moment: 0.001 μB/f.u.
* symmetry: No. 5

Cell: 8.0170 8.0170 7.2299 Å, 76.01 76.01 112.27°
Positions (direct):
O: 0.0008 0.3371 0.2175
O: 0.2870 0.0302 0.5989
O: 0.6629 0.9992 0.7825
O: 0.8353 0.1647 0.0000
O: 0.6695 0.6555 0.7172
O: 0.3242 0.0120 0.2209
O: 0.7526 0.3717 0.7158
O: 0.2764 0.6518 0.2638
O: 0.7208 0.9610 0.3863
O: 0.1562 0.8438 0.0000
O: 0.6283 0.2474 0.2842
O: 0.9698 0.7130 0.4011
O: 0.9880 0.6758 0.7791
O: 0.3482 0.7236 0.7362
O: 0.0390 0.2792 0.6137
O: 0.3445 0.3305 0.2828
Rb: 0.2897 0.3030 0.8562
Rb: 0.6970 0.7103 0.1438
Si: 0.3928 0.1520 0.3491
Si: 0.8480 0.6072 0.6509
Si: 0.8217 0.2023 0.7729
Si: 0.2009 0.8139 0.7779
Si: 0.1861 0.7991 0.2221
Si: 0.7977 0.1783 0.2271
Al: 0.1580 0.3955 0.3479
Al: 0.6045 0.8420 0.6521

Below is RbAlSi3O8 after structural relaxation, with properties calculated at the PBE-GGA level.

Summary:
* ΔH_f (0 K): -313.1 kJ per mole of atoms
* total energy: -194.54 eV for the cell shown
* energy with MP2020 corrections: -7.905 eV/atom
* total moment: 0.001 μB/f.u.
* symmetry: No. 2

Cell: 7.3628 7.7870 8.1004 Å, 111.22 105.40 103.29°
Positions (direct):
Si: 0.3502 0.8404 0.6056
Si: 0.6573 0.3957 0.1532
Si: 0.2295 0.2014 0.8246
Si: 0.6498 0.1596 0.3944
Si: 0.3427 0.6043 0.8468
Si: 0.7705 0.7986 0.1754
Rb: 0.1462 0.2963 0.2933
Rb: 0.8538 0.7037 0.7067
O: 0.7649 0.0056 0.3207
O: 0.2226 0.6675 0.9835
O: 0.4101 0.2981 0.0393
O: 0.0168 0.1539 0.8507
O: 0.5899 0.7019 0.9607
O: 0.2841 0.6642 0.6708
O: 0.7159 0.3358 0.3292
O: 0.4071 0.0515 0.2971
O: 0.2711 0.3608 0.7365
O: 0.9832 0.8461 0.1493
O: 0.7421 0.2740 0.6266
O: 0.7289 0.6392 0.2635
O: 0.7774 0.3325 0.0165
O: 0.2579 0.7260 0.3734
O: 0.2351 0.9944 0.6793
O: 0.5929 0.9485 0.7029
Al: 0.7807 0.1826 0.7970
Al: 0.2193 0.8174 0.2030

Below is RbTi3AlO8 after structural relaxation, with properties calculated at the PBE-GGA level.

Summary:
* ΔH_f (0 K): -320.1 kJ per mole of atoms
* total energy: -105.62 eV for the cell shown
* energy with MP2020 corrections: -8.548 eV/atom
* total moment: 0.000 μB/f.u.
* symmetry: No. 1

Cell: 2.9842 7.3175 7.3324 Å, 87.68 101.63 101.72°
Positions (direct):
O: 0.3613 0.6397 0.0440
O: 0.7332 0.0539 0.3659
O: 0.0589 0.7096 0.3713
O: 0.3156 0.9489 0.6430
O: 0.9856 0.2996 0.6309
O: 0.6766 0.3650 0.9458
O: 0.6826 0.6219 0.7068
O: 0.3504 0.3711 0.2904
Ti: 0.6721 0.8046 0.5216
Ti: 0.3310 0.1854 0.4917
Ti: 0.8403 0.5097 0.1689
Al: 0.1687 0.4858 0.8156
Rb: 0.0636 0.0048 0.0043

Below is AlRhO3 after structural relaxation, with properties calculated at the PBE-GGA level.

Summary:
* ΔH_f (0 K): -214.5 kJ per mole of atoms
* total energy: -70.02 eV for the cell shown
* energy with MP2020 corrections: -7.414 eV/atom
* symmetry: No. 194

Cell: 3.1514 3.1514 11.8852 Å, 90.00 90.00 120.00°
Positions (direct):
O: 0.6667 0.3333 0.9138
O: 0.0000 0.0000 0.2500
O: 0.6667 0.3333 0.5862
O: 0.3333 0.6667 0.0862
O: 0.3333 0.6667 0.4138
O: 0.0000 0.0000 0.7500
Rh: 0.0000 0.0000 0.5000
Rh: 0.0000 0.0000 0.0000
Al: 0.6667 0.3333 0.7500
Al: 0.3333 0.6667 0.2500

Below is Al4SO18 after structural relaxation, with properties calculated at the PBE-GGA level.

Summary:
* ΔH_f (0 K): -82.1 kJ per mole of atoms
* total energy: -510.97 eV for the cell shown
* total moment: 1.642 μB/f.u.
* symmetry: No. 4

Cell: 10.6754 10.5327 13.6622 Å, 80.37 90.00 90.00°
Positions (direct):
O: 0.5000 0.6053 0.6386
O: 0.7369 0.0325 0.1364
O: 0.5306 0.9956 0.9680
O: 0.6089 0.9557 0.6321
O: 0.9072 0.2781 0.1478
O: 0.0214 0.7420 0.4125
O: 0.3327 0.5611 0.3993
O: 0.5703 0.4837 0.5252
O: 0.9633 0.2743 0.5670
O: 0.4072 0.7219 0.8522
O: 0.4654 0.1195 0.4510
O: 0.3167 0.3123 0.8018
O: 0.9367 0.4018 0.9788
O: 0.7114 0.1462 0.1316
O: 0.2717 0.2220 0.7320
O: 0.3141 0.5080 0.9075
O: 0.5904 0.3678 0.7208
O: 0.8182 0.3046 0.8079
O: 0.4933 0.0647 0.2921
O: 0.7144 0.0630 0.8877
O: 0.2704 0.6726 0.5120
O: 0.4633 0.7257 0.4330
O: 0.0904 0.6322 0.2792
O: 0.6182 0.9551 0.4337
O: 0.2369 0.9675 0.8636
O: 0.5214 0.2580 0.5875
O: 0.3748 0.4342 0.6092
O: 0.7717 0.7780 0.2680
O: 0.0504 0.3812 0.7281
O: 0.0097 0.1759 0.7727
O: 0.3245 0.1421 0.9910
O: 0.2144 0.9370 0.1123
O: 0.5504 0.6188 0.2719
O: 0.0880 0.7511 0.0732
O: 0.5030 0.3900 0.2172
O: 0.9933 0.9353 0.7079
O: 0.9654 0.8805 0.5490
O: 0.2114 0.8538 0.8684
O: 0.8245 0.8579 0.0090
O: 0.0030 0.6100 0.7828
O: 0.1621 0.8227 0.6400
O: 0.5097 0.8241 0.2273
O: 0.3134 0.3580 0.2814
O: 0.0703 0.5163 0.4748
O: 0.8134 0.6420 0.7186
O: 0.4982 0.1573 0.7855
O: 0.6621 0.1773 0.3600
O: 0.6367 0.7714 0.0593
O: 0.1367 0.2286 0.9407
O: 0.0166 0.9799 0.3639
O: 0.2515 0.7886 0.3131
O: 0.3889 0.3553 0.2084
O: 0.8327 0.4389 0.6007
O: 0.0306 0.0044 0.0320
O: 0.0398 0.4569 0.1264
O: 0.5166 0.0201 0.6361
O: 0.5880 0.2489 0.9268
O: 0.4367 0.5982 0.0212
O: 0.8141 0.4920 0.0925
O: 0.1182 0.0449 0.5663
O: 0.7704 0.3274 0.4880
O: 0.1089 0.0443 0.3679
O: 0.1147 0.1135 0.1601
O: 0.0000 0.3947 0.3614
O: 0.6147 0.8865 0.8399
O: 0.7515 0.2114 0.6869
O: 0.8889 0.6447 0.7916
O: 0.9982 0.8427 0.2145
O: 0.8167 0.6877 0.1982
O: 0.8748 0.5658 0.3908
O: 0.3182 0.6954 0.1921
O: 0.5398 0.5431 0.8736
Al: 0.6417 0.7308 0.1892
Al: 0.4093 0.7057 0.3067
Al: 0.9559 0.8566 0.0843
Al: 0.6660 0.2196 0.8083
Al: 0.6732 0.9031 0.9629
Al: 0.4346 0.2966 0.6972
Al: 0.1709 0.6469 0.4028
Al: 0.9212 0.4218 0.4782
Al: 0.9346 0.7034 0.3028
Al: 0.1417 0.2692 0.8108
Al: 0.4212 0.5782 0.5218
Al: 0.1732 0.0969 0.0371
Al: 0.4559 0.1434 0.9157
Al: 0.1660 0.7804 0.1917
Al: 0.6709 0.3531 0.5972
Al: 0.9093 0.2943 0.6933
S: 0.9237 0.4080 0.0861
S: 0.0637 0.9211 0.6169
S: 0.4237 0.5920 0.9139
S: 0.5637 0.0789 0.3831

Below is AlSO10 after structural relaxation, with properties calculated at the PBE-GGA level.

Summary:
* ΔH_f (0 K): -96.6 kJ per mole of atoms
* total energy: -271.06 eV for the cell shown
* energy with MP2020 corrections: -5.781 eV/atom
* total moment: 2.996 μB/f.u.
* symmetry: No. 14

Cell: 7.9403 10.4956 8.7471 Å, 90.00 78.13 90.00°
Positions (direct):
O: 0.3914 0.1529 0.8777
O: 0.3008 0.6321 0.8063
O: 0.1797 0.9471 0.1760
O: 0.4203 0.6924 0.5363
O: 0.8203 0.0529 0.8240
O: 0.8914 0.3471 0.3777
O: 0.6562 0.8396 0.7491
O: 0.0634 0.4904 0.0426
O: 0.9203 0.8076 0.0363
O: 0.0797 0.1924 0.9637
O: 0.4366 0.9904 0.4574
O: 0.9366 0.5096 0.9574
O: 0.5797 0.3076 0.4637
O: 0.6797 0.5529 0.6760
O: 0.3203 0.4471 0.3240
O: 0.9424 0.0494 0.4997
O: 0.2572 0.3411 0.7848
O: 0.1940 0.1915 0.2574
O: 0.2463 0.3890 0.4390
O: 0.1086 0.6529 0.6223
O: 0.0576 0.9506 0.5003
O: 0.7537 0.6110 0.5610
O: 0.8060 0.8085 0.7426
O: 0.5576 0.5494 0.0003
O: 0.8438 0.3396 0.7509
O: 0.6992 0.3679 0.1937
O: 0.6086 0.8471 0.1223
O: 0.5634 0.0096 0.5426
O: 0.8008 0.8679 0.3063
O: 0.2428 0.8411 0.7152
O: 0.1562 0.6604 0.2491
O: 0.7463 0.1110 0.9390
O: 0.7428 0.6589 0.2152
O: 0.7572 0.1589 0.2848
O: 0.1992 0.1321 0.6937
O: 0.6940 0.3085 0.7574
O: 0.3060 0.6915 0.2426
O: 0.3438 0.1604 0.2509
O: 0.4424 0.4506 0.9997
O: 0.2537 0.8890 0.0610
Al: 0.7676 0.0184 0.3922
Al: 0.2324 0.9816 0.6078
Al: 0.2676 0.4816 0.8922
Al: 0.7324 0.5184 0.1078
S: 0.7668 0.8002 0.1570
S: 0.2332 0.1998 0.8430
S: 0.2668 0.6998 0.6570
S: 0.7332 0.3002 0.3430

Below is AlSO10 after structural relaxation, with properties calculated at the PBE-GGA level.

Summary:
* ΔH_f (0 K): -87.7 kJ per mole of atoms
* total energy: -266.63 eV for the cell shown
* energy with MP2020 corrections: -5.689 eV/atom
* total moment: 4.000 μB/f.u.
* symmetry: No. 14

Cell: 11.0832 8.2137 10.6002 Å, 56.22 90.00 90.00°
Positions (direct):
O: 0.8572 0.2733 0.6316
O: 0.9031 0.2468 0.1869
O: 0.1059 0.4033 0.2561
O: 0.4031 0.7532 0.3131
O: 0.1216 0.3296 0.7151
O: 0.6643 0.0761 0.7086
O: 0.3507 0.0865 0.7349
O: 0.9007 0.6624 0.1747
O: 0.0969 0.7532 0.8131
O: 0.5993 0.6624 0.6747
O: 0.1493 0.0865 0.2349
O: 0.6454 0.4545 0.3640
O: 0.1428 0.7267 0.3684
O: 0.6216 0.6704 0.7849
O: 0.5101 0.9027 0.0004
O: 0.1454 0.5455 0.1360
O: 0.5969 0.2468 0.6869
O: 0.6428 0.2733 0.1316
O: 0.3546 0.5455 0.6360
O: 0.6990 0.0630 0.4043
O: 0.8784 0.6704 0.2849
O: 0.3357 0.9239 0.2914
O: 0.0993 0.3376 0.8253
O: 0.6493 0.9135 0.2651
O: 0.1990 0.9370 0.0957
O: 0.6059 0.5967 0.2439
O: 0.8507 0.9135 0.7651
O: 0.3941 0.4033 0.7561
O: 0.8941 0.5967 0.7439
O: 0.0101 0.0973 0.4996
O: 0.9899 0.9027 0.5004
O: 0.8010 0.0630 0.9043
O: 0.4007 0.3376 0.3253
O: 0.3572 0.7267 0.8684
O: 0.1643 0.9239 0.7914
O: 0.8357 0.0761 0.2086
O: 0.3784 0.3296 0.2151
O: 0.8546 0.4545 0.8640
O: 0.3010 0.9370 0.5957
O: 0.4899 0.0973 0.9996
S: 0.1960 0.9029 0.2439
S: 0.3040 0.9029 0.7439
S: 0.8040 0.0971 0.7561
S: 0.6960 0.0971 0.2561
Al: 0.5242 0.8706 0.1846
Al: 0.0242 0.1294 0.3154
Al: 0.9758 0.8706 0.6846
Al: 0.4758 0.1294 0.8154

Below is AlS2O12 after structural relaxation, with properties calculated at the PBE-GGA level.

Summary:
* ΔH_f (0 K): -85.4 kJ per mole of atoms
* total energy: -330.97 eV for the cell shown
* energy with MP2020 corrections: -5.645 eV/atom
* total moment: 6.293 μB/f.u.
* symmetry: No. 62

Cell: 5.3596 9.3546 17.7569 Å, 90.00 90.00 90.00°
Positions (direct):
O: 0.5818 0.1995 0.1346
O: 0.7683 0.9091 0.4352
O: 0.4441 0.4188 0.2500
O: 0.6587 0.6755 0.4795
O: 0.3413 0.3245 0.5205
O: 0.9239 0.9533 0.7500
O: 0.8413 0.1755 0.0205
O: 0.2002 0.0165 0.0890
O: 0.2998 0.5165 0.0890
O: 0.7683 0.9091 0.0648
O: 0.5158 0.2352 0.8614
O: 0.4182 0.8005 0.6346
O: 0.4239 0.5467 0.2500
O: 0.0818 0.3005 0.8654
O: 0.2317 0.0909 0.5648
O: 0.5761 0.4533 0.7500
O: 0.8413 0.1755 0.4795
O: 0.0158 0.2648 0.3614
O: 0.0818 0.3005 0.6346
O: 0.2998 0.5165 0.4110
O: 0.5559 0.5812 0.7500
O: 0.9842 0.7352 0.8614
O: 0.7998 0.9835 0.9110
O: 0.9182 0.6995 0.1346
O: 0.2683 0.5909 0.5648
O: 0.0158 0.2648 0.1386
O: 0.5158 0.2352 0.6386
O: 0.1587 0.8245 0.5205
O: 0.9441 0.0812 0.7500
O: 0.9842 0.7352 0.6386
O: 0.0761 0.0467 0.2500
O: 0.4842 0.7648 0.1386
O: 0.4842 0.7648 0.3614
O: 0.5818 0.1995 0.3654
O: 0.3413 0.3245 0.9795
O: 0.6587 0.6755 0.0205
O: 0.2683 0.5909 0.9352
O: 0.2002 0.0165 0.4110
O: 0.1587 0.8245 0.9795
O: 0.4182 0.8005 0.8654
O: 0.7998 0.9835 0.5890
O: 0.2317 0.0909 0.9352
O: 0.7002 0.4835 0.9110
O: 0.7317 0.4091 0.0648
O: 0.9182 0.6995 0.3654
O: 0.7317 0.4091 0.4352
O: 0.0559 0.9188 0.2500
O: 0.7002 0.4835 0.5890
S: 0.7105 0.7591 0.4085
S: 0.2105 0.7409 0.9085
S: 0.2105 0.7409 0.5915
S: 0.2895 0.2409 0.5915
S: 0.7895 0.2591 0.4085
S: 0.2895 0.2409 0.9085
S: 0.7105 0.7591 0.0915
S: 0.7895 0.2591 0.0915
Al: 0.5000 0.5000 0.5000
Al: 0.0000 0.0000 0.0000
Al: 0.0000 0.0000 0.5000
Al: 0.5000 0.5000 0.0000